[1]
Material: Li2TiFeO4
Method: DFT, GGA+U
State: relaxed

a = 5.8818 Å, b = 5.9016 Å, c = 9.2784 Å
α = 89.13°, β = 71.72°, γ = 85.81°
Space group P1 (No. 1)
Asymmetric unit:
1 Li 0.0000 0.0000 0.0000 [1 per cell]
2 Li 0.0973 0.2352 0.2867 [1 per cell]
3 Li 0.2433 0.4938 0.5046 [1 per cell]
4 Li 0.3927 0.7573 0.7244 [1 per cell]
5 Li 0.4995 0.4986 0.0006 [1 per cell]
6 Li 0.5968 0.7350 0.2864 [1 per cell]
7 Li 0.7428 0.9945 0.5040 [1 per cell]
8 Li 0.8913 0.2553 0.7242 [1 per cell]
9 Ti 0.1076 0.7112 0.2595 [1 per cell]
10 Ti 0.3933 0.2737 0.7450 [1 per cell]
11 Ti 0.6135 0.2150 0.2559 [1 per cell]
12 Ti 0.8909 0.7763 0.7447 [1 per cell]
13 Fe 0.2434 0.9949 0.5049 [1 per cell]
14 Fe 0.4880 0.9927 0.0082 [1 per cell]
15 Fe 0.7428 0.4946 0.5054 [1 per cell]
16 Fe 0.9968 0.4973 0.9996 [1 per cell]
17 O 0.1034 0.9819 0.7552 [1 per cell]
18 O 0.1196 0.4913 0.7488 [1 per cell]
19 O 0.2133 0.7401 0.0466 [1 per cell]
20 O 0.2665 0.2338 0.9619 [1 per cell]
21 O 0.3600 0.5028 0.2649 [1 per cell]
22 O 0.3839 0.0085 0.2535 [1 per cell]
23 O 0.4908 0.2452 0.5100 [1 per cell]
24 O 0.4932 0.7446 0.5047 [1 per cell]
25 O 0.6030 0.4822 0.7553 [1 per cell]
26 O 0.6236 0.9923 0.7441 [1 per cell]
27 O 0.7311 0.2551 0.0462 [1 per cell]
28 O 0.7536 0.7464 0.9613 [1 per cell]
29 O 0.8604 0.0027 0.2652 [1 per cell]
30 O 0.8815 0.5058 0.2555 [1 per cell]
31 O 0.9914 0.7449 0.5084 [1 per cell]
32 O 0.9942 0.2452 0.5049 [1 per cell]

Output
As for the energy above the most stable polymorph in this dataset: 0.0418 eV per atom. As for the final energy: -55.2 eV per formula unit.

=====

[2]
Material: Li4NiP6O18
Method: DFT, GGA+U
State: relaxed

a = 7.3058 Å, b = 7.4675 Å, c = 7.6025 Å
α = 105.78°, β = 99.50°, γ = 114.42°
Space group P1 (No. 1)
Asymmetric unit:
1 Li 0.0000 0.0000 0.0000 [1 per cell]
2 Li 0.1174 0.4731 0.4028 [1 per cell]
3 Li 0.2485 0.9396 0.6596 [1 per cell]
4 Li 0.8491 0.5699 0.7038 [1 per cell]
5 Ni 0.7021 0.0898 0.3863 [1 per cell]
6 P 0.1386 0.3269 0.7634 [1 per cell]
7 P 0.2688 0.7448 0.0442 [1 per cell]
8 P 0.4479 0.3152 0.3114 [1 per cell]
9 P 0.4919 0.6999 0.7644 [1 per cell]
10 P 0.6969 0.2875 0.0599 [1 per cell]
11 P 0.8058 0.6947 0.3388 [1 per cell]
12 O 0.1068 0.7858 0.9389 [1 per cell]
13 O 0.1149 0.1252 0.7809 [1 per cell]
14 O 0.1697 0.4875 0.9741 [1 per cell]
15 O 0.2196 0.2493 0.2828 [1 per cell]
16 O 0.3645 0.8470 0.2595 [1 per cell]
17 O 0.3664 0.7327 0.6111 [1 per cell]
18 O 0.3670 0.4497 0.7364 [1 per cell]
19 O 0.4709 0.2157 0.1038 [1 per cell]
20 O 0.4733 0.8113 0.9696 [1 per cell]
21 O 0.5722 0.5667 0.3539 [1 per cell]
22 O 0.5763 0.2801 0.4647 [1 per cell]
23 O 0.6584 0.1994 0.8507 [1 per cell]
24 O 0.7198 0.7589 0.7949 [1 per cell]
25 O 0.7898 0.5447 0.1305 [1 per cell]
26 O 0.8262 0.8971 0.3241 [1 per cell]
27 O 0.8304 0.2434 0.2022 [1 per cell]
28 O 0.9685 0.6958 0.4901 [1 per cell]
29 O 0.9741 0.3273 0.6113 [1 per cell]

Output
As for the energy above the most stable polymorph in this dataset: 0.0000 eV per atom. As for the final energy: -193.8 eV per formula unit.

=====

[3]
Material: BaMg2V2O8
Method: DFT, GGA+U
State: relaxed

a = 12.6069 Å, b = 12.6069 Å, c = 8.6176 Å
α = 90.00°, β = 90.00°, γ = 90.00°
Space group I4_1/acd (No. 142, origin choice 2)
Asymmetric unit:
1 Ba 0.0000 0.2500 0.3750 [8 per cell]
2 Mg 0.1681 0.0819 0.1250 [16 per cell]
3 V 0.0809 0.0000 0.7500 [16 per cell]
4 O 0.0026 0.0881 0.1560 [32 per cell]
5 O 0.1587 0.0723 0.8842 [32 per cell]

Output
As for the final energy: -91.2 eV per formula unit.

=====

[4]
Material: Li2Fe3SnO8
Method: DFT, GGA+U
State: relaxed

a = 8.5448 Å, b = 8.5448 Å, c = 8.5448 Å
α = 90.00°, β = 90.00°, γ = 90.00°
Space group P2_13 (No. 198)
Asymmetric unit:
1 Li 0.1231 0.1231 0.1231 [4 per cell]
2 Li 0.2491 0.2509 0.7491 [4 per cell]
3 Fe 0.1125 0.3813 0.3754 [12 per cell]
4 Sn 0.0027 0.5027 0.9973 [4 per cell]
5 O 0.1112 0.1108 0.8750 [12 per cell]
6 O 0.1128 0.3872 0.6128 [4 per cell]
7 O 0.1268 0.8630 0.6367 [12 per cell]
8 O 0.1391 0.6391 0.8609 [4 per cell]

Output
As for the energy above the most stable polymorph in this dataset: 0.0730 eV per atom. As for the final energy: -85.6 eV per formula unit.

=====

[5]
Material: Na2FeH8S2O12
Method: DFT, GGA+U
State: relaxed

a = 5.6147 Å, b = 8.2795 Å, c = 11.3449 Å
α = 90.00°, β = 100.39°, γ = 90.00°
Space group P2_1/c (No. 14)
Asymmetric unit:
1 Na 0.1307 0.0698 0.3625 [4 per cell]
2 Fe 0.0000 0.0000 0.0000 [2 per cell]
3 H 0.2260 0.6400 0.3413 [4 per cell]
4 H 0.2291 0.0516 0.8135 [4 per cell]
5 H 0.2366 0.7152 0.0261 [4 per cell]
6 H 0.3215 0.7008 0.6485 [4 per cell]
7 S 0.3731 0.2124 0.6346 [4 per cell]
8 O 0.1268 0.5392 0.3335 [4 per cell]
9 O 0.1747 0.7207 0.5870 [4 per cell]
10 O 0.2124 0.0836 0.5765 [4 per cell]
11 O 0.3126 0.1293 0.0730 [4 per cell]
12 O 0.3541 0.2260 0.7651 [4 per cell]
13 O 0.3664 0.6767 0.8715 [4 per cell]

Output
As for the final energy: -137.5 eV per formula unit.

=====

[6]
Material: Fe2H6Se3O12
Method: DFT, GGA+U
State: relaxed

a = 9.5328 Å, b = 9.5328 Å, c = 20.5375 Å
α = 90.00°, β = 90.00°, γ = 120.00°
Space group R3c (No. 161, hexagonal axes)
Asymmetric unit:
1 Fe 0.0000 0.0000 0.0000 [6 per cell]
2 Fe 0.0000 0.0000 0.2340 [6 per cell]
3 H 0.0364 0.4376 0.1133 [18 per cell]
4 H 0.0979 0.1979 0.3917 [18 per cell]
5 Se 0.1588 0.3897 0.2816 [18 per cell]
6 O 0.0408 0.1863 0.4332 [18 per cell]
7 O 0.0560 0.2004 0.7910 [18 per cell]
8 O 0.1796 0.4710 0.7159 [18 per cell]
9 O 0.1834 0.4763 0.8455 [18 per cell]

Output
As for the final energy: -125.4 eV per formula unit.

=====

[7]
Material: LiFeF4
Method: DFT, GGA+U
State: relaxed

a = 15.4074 Å, b = 3.9283 Å, c = 12.5481 Å
α = 90.00°, β = 120.93°, γ = 90.00°
Space group C2/m (No. 12)
Asymmetric unit:
1 Li 0.1561 0.0000 0.3225 [4 per cell]
2 Li 0.1939 0.5000 0.1625 [4 per cell]
3 Fe 0.0352 0.5000 0.8667 [4 per cell]
4 Fe 0.1379 0.5000 0.6391 [4 per cell]
5 F 0.0000 0.5000 0.0000 [2 per cell]
6 F 0.0000 0.5000 0.5000 [2 per cell]
7 F 0.0130 0.0000 0.8441 [4 per cell]
8 F 0.0728 0.5000 0.7408 [4 per cell]
9 F 0.1147 0.5000 0.2559 [4 per cell]
10 F 0.1462 0.0000 0.6556 [4 per cell]
11 F 0.1681 0.5000 0.9987 [4 per cell]
12 F 0.2010 0.5000 0.5441 [4 per cell]
13 F 0.2250 0.0000 0.2140 [4 per cell]

Output
As for the energy above the most stable polymorph in this dataset: 0.0459 eV per atom. As for the final energy: -30.6 eV per formula unit.

=====

[8]
Material: V3Cr2CuP6O24
Method: DFT, GGA+U
State: relaxed

a = 8.6521 Å, b = 8.6521 Å, c = 20.5382 Å
α = 90.00°, β = 90.00°, γ = 120.00°
Space group R3 (No. 146, hexagonal axes)
Asymmetric unit:
1 V 0.0000 0.0000 0.0000 [3 per cell]
2 V 0.0000 0.0000 0.2129 [3 per cell]
3 V 0.0000 0.0000 0.5019 [3 per cell]
4 Cr 0.0000 0.0000 0.3575 [3 per cell]
5 Cr 0.0000 0.0000 0.8555 [3 per cell]
6 Cu 0.0000 0.0000 0.7102 [3 per cell]
7 P 0.0015 0.2968 0.6077 [9 per cell]
8 P 0.0384 0.6680 0.7754 [9 per cell]
9 O 0.0058 0.2122 0.6707 [9 per cell]
10 O 0.0089 0.1761 0.2792 [9 per cell]
11 O 0.0168 0.8166 0.1697 [9 per cell]
12 O 0.0192 0.8337 0.7881 [9 per cell]
13 O 0.1366 0.6706 0.7134 [9 per cell]
14 O 0.1425 0.4716 0.2129 [9 per cell]
15 O 0.1678 0.6807 0.1009 [9 per cell]
16 O 0.1687 0.4883 0.5955 [9 per cell]

Output
As for the final energy: -264.7 eV per formula unit.

=====

[9]
Material: LiTl4Ni4O12
Method: DFT, GGA+U
State: relaxed

a = 5.2753 Å, b = 5.6766 Å, c = 7.9593 Å
α = 91.29°, β = 91.05°, γ = 90.61°
Space group P1 (No. 1)
Asymmetric unit:
1 Li 0.0000 0.0000 0.0000 [1 per cell]
2 Tl 0.3395 0.6753 0.4010 [1 per cell]
3 Tl 0.4220 0.7996 0.8896 [1 per cell]
4 Tl 0.8507 0.3513 0.8591 [1 per cell]
5 Tl 0.8912 0.1791 0.3914 [1 per cell]
6 Ni 0.3651 0.2401 0.6427 [1 per cell]
7 Ni 0.3796 0.2330 0.1472 [1 per cell]
8 Ni 0.8560 0.7112 0.1681 [1 per cell]
9 Ni 0.8731 0.7567 0.6362 [1 per cell]
10 O 0.0050 0.7239 0.8709 [1 per cell]
11 O 0.0729 0.4335 0.5851 [1 per cell]
12 O 0.0756 0.4493 0.2155 [1 per cell]
13 O 0.1442 0.9335 0.2107 [1 per cell]
14 O 0.1590 0.9435 0.5751 [1 per cell]
15 O 0.2436 0.2006 0.8948 [1 per cell]
16 O 0.4842 0.2832 0.3976 [1 per cell]
17 O 0.5764 0.5618 0.6921 [1 per cell]
18 O 0.5993 0.5070 0.0707 [1 per cell]
19 O 0.6600 0.0564 0.7098 [1 per cell]
20 O 0.6647 0.9905 0.0876 [1 per cell]
21 O 0.7434 0.7872 0.4066 [1 per cell]

Output
As for the energy above the most stable polymorph in this dataset: 0.0000 eV per atom. As for the final energy: -96.3 eV per formula unit.

=====

[10]
Material: NpMnO3F6
Method: DFT, GGA+U
State: relaxed

a = 12.6834 Å, b = 7.2524 Å, c = 9.8171 Å
α = 90.00°, β = 106.81°, γ = 90.00°
Space group C2 (No. 5)
Asymmetric unit:
1 Np 0.0000 0.0000 0.0000 [2 per cell]
2 Np 0.0000 0.2942 0.5000 [2 per cell]
3 Mn 0.2032 0.8947 0.7406 [4 per cell]
4 O 0.0000 0.5461 0.5000 [2 per cell]
5 O 0.0000 0.7524 0.0000 [2 per cell]
6 O 0.1884 0.5148 0.2434 [4 per cell]
7 O 0.2175 0.6798 0.7168 [4 per cell]
8 F 0.0565 0.3049 0.7162 [4 per cell]
9 F 0.0744 0.9910 0.2124 [4 per cell]
10 F 0.0901 0.9834 0.6003 [4 per cell]
11 F 0.1004 0.2214 0.0123 [4 per cell]
12 F 0.1516 0.9266 0.8921 [4 per cell]
13 F 0.1570 0.2957 0.4863 [4 per cell]

Output
As for the final energy: -68.8 eV per formula unit.

=====

Record order is preserved below.
Formation energy from the elements: -1952; -7120; -3595; -2415; -4058; -2988; -1609; -8529; -2010; -2596 kJ/mol of formula units